LiVSiO4 PBE with a Hubbard U optimized geometry; VASP energy = -7.29 eV per atom; total magnetic moment = 0.00 μB/f.u.; formation energy from the elements = -63.59 kcal/mol of atoms; polymorph energy (0 for the lowest one) = 82 meV/atom; calculated volume = 15.1 Å³ per atom
1.0
5.415 0.001 0.000
0.002 9.377 0.000
0.000 0.000 12.464
V Li O Si
6 6 24 6
Cartesian
1.356 7.032 10.386 V
4.061 2.345 10.386 V
4.062 7.033 2.079 V
2.707 0.001 6.230 V
1.354 2.344 2.079 V
5.416 4.689 6.230 V
2.708 4.689 12.463 Li
5.415 0.001 4.155 Li
2.708 4.689 4.154 Li
2.708 4.689 8.309 Li
5.415 0.001 8.309 Li
5.415 0.001 12.463 Li
2.634 6.536 3.250 O
5.341 1.848 3.251 O
5.341 7.531 9.214 O
3.775 8.517 0.905 O
1.141 3.698 7.404 O
1.643 8.518 11.557 O
4.275 5.680 7.404 O
4.349 3.830 11.557 O
0.076 7.529 3.251 O
1.067 5.548 11.557 O
1.067 3.828 0.906 O
2.783 2.841 3.250 O
0.075 1.847 9.214 O
1.641 0.861 0.905 O
3.849 0.991 5.062 O
1.567 8.387 5.062 O
3.774 0.860 11.557 O
1.567 0.990 7.404 O
3.850 8.388 7.404 O
1.143 5.680 5.062 O
2.632 2.841 9.214 O
2.785 6.537 9.214 O
4.350 5.550 0.906 O
4.274 3.698 5.062 O
4.062 2.345 4.155 Si
2.709 9.377 12.463 Si
1.355 7.033 4.155 Si
0.001 4.688 12.463 Si
1.353 2.344 8.309 Si
4.063 7.034 8.309 Si